1.
A relaxed Na3Fe2Mo5O16 crystal. Source: the Materials Project, functional GGA+U.

Properties
Spin magnetization   29.80 μB per cell
Excess energy over the best structure of this formula in the dataset   10.7 kJ per mole of atoms
Energy relative to the elements   -1.832 eV/atom
Uncorrected energy   -6.555 eV per atom
V   12.09 Å³/atom
Space group   No. 164

```
52
Lattice="-5.381 0.858 1.842 3.029 -4.481 1.956 7.607 12.334 16.481" Properties=species:S:1:pos:R:3 pbc="T T T"
O -1.663 3.656 6.814
O 4.834 1.443 8.727
O 6.294 7.137 15.064
O 6.918 5.055 13.464
O -1.750 -1.203 4.430
O 3.159 -1.224 5.145
O 1.126 5.083 9.903
O -3.353 1.170 3.395
O 0.288 -2.601 2.052
O 4.129 3.628 10.375
O 1.589 1.099 4.131
O 0.969 3.236 5.913
O 3.241 3.801 7.698
O 8.608 7.541 16.883
O -1.039 1.574 5.214
O -0.504 0.715 2.420
O 5.759 7.995 17.858
O 4.885 9.490 14.179
O 4.285 5.475 14.365
O -0.181 1.464 7.771
O 0.370 -0.779 6.099
O 3.666 7.612 16.147
O 3.252 6.816 10.582
O 2.003 1.894 9.696
O 2.642 7.541 13.188
O 5.436 7.247 12.507
O 7.004 9.914 15.848
O 0.421 7.268 11.551
O 4.967 11.312 18.226
O 2.096 9.935 15.133
O 2.613 1.170 7.091
O 2.014 4.910 12.580
Mo 4.395 7.534 14.267
Mo 3.285 0.790 5.181
Mo 1.970 7.921 15.097
Mo 3.519 2.639 9.054
Mo 3.030 9.554 13.386
Mo 1.736 6.072 11.225
Mo 7.282 8.740 17.206
Mo -2.027 -0.029 3.072
Mo 0.859 1.177 6.011
Mo 2.224 -0.843 6.893
Na 0.000 0.000 0.000
Na 4.183 10.040 16.527
Na 4.913 4.899 12.074
Na 1.072 -1.330 3.751
Na 0.342 3.812 8.204
Na 3.804 6.167 8.240
Fe 6.497 10.534 14.076
Fe 2.656 4.306 5.753
Fe 4.951 8.028 10.727
Fe 1.110 1.800 2.405
```

2.
A relaxed Na3Fe2Mo3O12 crystal. Source: the Materials Project, functional GGA+U.

Properties
Spin magnetization   18.00 μB per cell
Energy relative to the elements   -1.964 eV/atom
Uncorrected energy   -6.487 eV per atom
V   14.37 Å³/atom
Space group   No. 15

```
40
Lattice="6.909 6.210 0.000 -6.909 6.210 0.000 0.000 2.967 6.696" Properties=species:S:1:pos:R:3 pbc="T T T"
O -0.071 9.261 2.679
O -0.071 4.643 0.670
O -1.166 13.309 5.393
O 2.502 9.434 1.152
O -1.166 3.563 4.651
O 1.166 2.079 1.303
O -2.325 5.240 2.601
O -5.088 7.013 4.897
O -2.325 8.665 0.748
O -2.502 5.955 5.544
O 5.088 5.529 1.549
O 2.325 6.724 5.949
O -2.502 10.917 4.500
O 2.325 10.148 4.096
O 0.071 10.745 6.027
O 2.502 4.471 2.196
O 2.768 6.796 0.158
O -2.768 8.592 6.538
O 2.768 7.108 3.190
O 0.071 6.127 4.018
O -2.768 8.280 3.506
O 1.166 11.825 2.045
O 5.088 8.375 1.799
O -5.088 9.859 5.147
Mo -1.504 11.634 5.846
Mo 1.504 10.151 2.498
Mo 3.871 6.952 1.674
Mo -1.504 5.237 4.198
Mo 1.504 3.754 0.850
Mo -3.871 8.436 5.022
Na 3.698 8.436 5.022
Na -3.698 6.952 1.674
Na 0.000 1.484 3.348
Na 0.123 6.952 1.674
Na 0.000 0.000 0.000
Na -0.123 8.436 5.022
Fe 2.210 5.421 4.215
Fe -2.210 9.968 2.481
Fe 2.210 11.451 5.829
Fe -2.210 3.937 0.867
```

3.
A relaxed NaSr9Fe5Mo5O30 crystal. Source: the Materials Project, functional GGA+U.

Properties
Spin magnetization   29.00 μB per cell
Energy relative to the elements   -2.471 eV/atom
Uncorrected energy   -6.744 eV per atom
V   12.81 Å³/atom
Space group   No. 5

```
50
Lattice="20.185 3.983 0.000 -20.185 3.983 0.000 0.000 3.981 3.982" Properties=species:S:1:pos:R:3 pbc="T T T"
Sr -10.076 3.983 0.000
Sr 18.106 3.983 0.000
Sr -18.182 3.983 0.000
Sr -14.126 3.983 0.000
Sr 2.000 3.983 0.000
Sr -6.002 3.983 0.000
Sr 6.056 3.983 0.000
Sr 14.152 3.983 0.000
Sr 10.108 3.983 0.000
O 8.063 4.045 2.223
O 4.033 3.991 1.744
O 0.022 3.912 2.224
O 8.059 2.231 0.018
O -4.005 3.897 1.789
O 1.983 5.974 1.991
O -8.068 3.963 2.231
O 4.006 10.180 3.909
O 0.022 8.035 1.757
O -4.005 8.051 2.193
O 8.059 9.716 3.963
O -1.974 5.974 1.991
O -8.068 7.985 1.750
O -18.210 5.974 1.991
O 10.092 5.974 1.991
O 6.030 5.974 1.991
O -10.095 5.974 1.991
O 18.227 5.974 1.991
O 0.041 9.761 3.904
O 4.033 7.956 2.237
O -8.073 6.203 3.919
O -4.065 6.232 0.014
O 4.006 1.767 0.072
O -4.065 5.716 3.968
O -14.132 5.974 1.991
O -8.073 5.744 0.063
O -6.032 5.974 1.991
O 8.063 7.902 1.758
O 14.128 5.974 1.991
O 0.041 2.187 0.078
Fe -0.037 5.974 1.991
Fe -3.939 5.974 1.991
Fe 12.101 5.974 1.991
Fe 3.971 5.974 1.991
Fe -12.085 5.974 1.991
Mo 16.109 5.974 1.991
Mo 20.140 5.974 1.991
Mo -8.042 5.974 1.991
Mo 8.055 5.974 1.991
Mo -16.122 5.974 1.991
Na -2.050 3.983 0.000
```

4.
A relaxed FeMoO4 crystal. Source: the Materials Project, functional GGA+U.

Properties
Spin magnetization   16.00 μB per cell
Excess energy over the best structure of this formula in the dataset   0.0 kJ per mole of atoms
Energy relative to the elements   -1.875 eV/atom
Uncorrected energy   -7.025 eV per atom
V   14.55 Å³/atom
Space group   No. 12

```
24
Lattice="4.787 5.251 0.000 -4.787 5.251 0.000 0.000 1.980 6.944" Properties=species:S:1:pos:R:3 pbc="T T T"
Mo -2.381 5.251 0.000
Mo 2.381 5.251 0.000
Mo 0.000 4.012 4.128
Mo 0.000 8.472 2.816
O -3.324 6.093 1.338
O 0.000 2.376 3.204
O 1.464 7.585 3.264
O 0.000 10.108 3.740
O -1.464 7.585 3.264
O 1.369 8.476 6.195
O 3.324 6.093 1.338
O 0.000 3.809 5.903
O 0.000 8.674 1.040
O 1.464 4.899 3.680
O 1.369 4.008 0.749
O -1.464 4.899 3.680
O 3.324 6.390 5.606
O -1.369 8.476 6.195
O -3.324 6.390 5.606
O -1.369 4.008 0.749
Fe 0.000 2.422 0.963
Fe 3.038 6.242 3.472
Fe 0.000 10.061 5.981
Fe -3.038 6.242 3.472
```

5.
A relaxed Fe2Mo4O7 crystal. Source: the Materials Project, functional GGA+U.

Properties
Spin magnetization   36.00 μB per cell
Excess energy over the best structure of this formula in the dataset   3.4 kJ per mole of atoms
Energy relative to the elements   -1.231 eV/atom
Uncorrected energy   -6.833 eV per atom
V   13.08 Å³/atom
Space group   No. 8

```
26
Lattice="-8.111 -1.132 -5.063 -3.872 -5.536 -6.861 -3.457 -4.437 2.719" Properties=species:S:1:pos:R:3 pbc="T T T"
O -10.841 -6.292 -10.153
O -9.686 -5.495 -3.311
O -4.670 -4.858 0.888
O -8.767 -5.791 -6.488
O -5.751 -2.751 -1.274
O -6.679 -5.301 -2.763
O -12.733 -8.736 -8.626
O -10.618 -8.148 -5.078
O -3.668 -4.915 -2.157
O -7.408 -7.862 -4.278
O -8.047 -3.353 -4.889
O -2.740 -2.403 -0.575
O -4.953 -3.067 -4.166
O -5.842 -5.644 -5.824
Mo -5.515 -4.905 -0.990
Mo -9.857 -6.105 -8.290
Mo -9.050 -3.661 -6.769
Mo -8.550 -5.295 -1.559
Mo -3.864 -2.773 -2.318
Mo -6.946 -5.846 -7.662
Mo -11.502 -8.212 -7.008
Mo -6.435 -7.492 -2.456
Fe -0.026 -0.019 -0.014
Fe -6.410 -4.345 -4.474
Fe -9.063 -6.806 -4.701
Fe -1.767 -2.261 1.370
```

6.
A relaxed FeMoO4 crystal. Source: the Materials Project, functional GGA+U.

Properties
Excess energy over the best structure of this formula in the dataset   0.8 kJ per mole of atoms
Energy relative to the elements   -1.867 eV/atom
Uncorrected energy   -7.017 eV per atom
V   13.56 Å³/atom
Space group   No. 5

```
24
Lattice="-6.655 0.215 1.223 -1.769 -2.919 -5.845 -2.322 -7.273 1.624" Properties=species:S:1:pos:R:3 pbc="T T T"
O -3.135 -1.557 -1.479
O -5.424 -2.604 -0.830
O -3.969 -3.537 -2.938
O -6.495 -4.947 -2.287
O -7.607 -8.421 -1.525
O -6.778 -6.440 -0.063
O -4.729 -0.416 0.854
O -5.321 -7.375 -2.169
O -1.480 -2.512 -3.848
O -6.013 -9.555 -3.855
O -9.111 -6.020 -1.844
O -7.640 -6.967 -3.969
O -4.254 -5.029 -0.703
O -1.635 -3.953 -1.155
O -3.106 -3.014 0.972
O -9.266 -7.474 0.851
Mo -7.492 -6.594 -2.250
Mo -7.576 -7.957 0.820
Mo -5.490 -9.295 -2.196
Mo -3.254 -3.382 -0.746
Fe -4.413 -5.604 -2.886
Fe -6.332 -4.373 -0.110
Fe -6.207 -3.001 -2.958
Fe -4.540 -6.976 -0.042
```

7.
A relaxed Fe2MoO4 crystal. Source: the Materials Project, functional GGA+U.

Properties
Spin magnetization   24.00 μB per cell
Energy relative to the elements   -1.635 eV/atom
Uncorrected energy   -6.937 eV per atom
V   12.01 Å³/atom
Space group   No. 74

```
14
Lattice="2.199 -3.198 4.821 2.944 -5.332 -1.100 6.014 -0.335 0.878" Properties=species:S:1:pos:R:3 pbc="T T T"
O 6.791 -7.580 3.586
O 5.653 -5.971 1.205
O 4.217 -3.337 1.734
O 7.156 -3.501 2.163
O 5.288 -4.928 4.100
O 8.658 -6.153 1.649
O 8.294 -5.110 4.544
O 9.730 -7.744 4.015
Fe 6.008 -0.397 0.900
Fe 6.973 -5.541 2.874
Fe 3.966 -5.373 2.435
Fe 2.796 -2.155 1.128
Mo 5.501 -2.875 3.425
Mo 5.874 -3.941 0.464
```

8.
A relaxed Fe2Mo4O7 crystal. Source: the Materials Project, functional GGA+U.

Properties
Spin magnetization   36.00 μB per cell
Excess energy over the best structure of this formula in the dataset   0.0 kJ per mole of atoms
Energy relative to the elements   -1.267 eV/atom
Uncorrected energy   -6.869 eV per atom
V   13.57 Å³/atom
Space group   No. 12

```
26
Lattice="-5.501 -8.320 -0.003 -2.769 -7.727 -5.667 3.770 -4.793 1.316" Properties=species:S:1:pos:R:3 pbc="T T T"
Mo -0.654 -11.478 -3.229
Mo 0.336 -3.753 -0.231
Mo -4.836 -17.087 -4.123
Mo 2.286 -6.246 0.448
Mo -1.981 -11.766 -0.477
Mo -2.519 -9.074 -3.876
Mo -3.846 -9.362 -1.125
Mo -6.786 -14.594 -4.802
O -2.504 -8.093 -0.030
O -0.933 -7.751 -3.288
O -1.995 -12.748 -4.324
O -3.527 -15.669 -3.343
O 0.756 -7.396 -0.410
O -0.596 -10.361 0.449
O -3.904 -10.479 -4.803
O -3.567 -13.089 -1.066
O 0.818 -10.054 -2.481
O -5.256 -13.445 -3.944
O -0.973 -5.171 -1.011
O -4.135 -8.024 -2.835
O -2.250 -10.420 -2.177
O -5.317 -10.786 -1.872
Fe 1.008 -9.438 -0.503
Fe -5.507 -11.403 -3.851
Fe -0.865 -6.557 0.657
Fe 0.501 -6.260 -2.176
```

- Look up the V of the sixth one.
  13.56 Å³/atom